Record 1
This record from Materials Project describes a relaxed structure of WCO2. The functional is PBE with a Hubbard U.

Cell lengths 3.884, 3.884, 4.223 Å; angles 90.00, 90.00, 90.00 degrees
Sites, in units of the cell vectors:
W1 0.000 0.000 0.000
C1 0.000 0.000 0.500
O1 0.000 0.500 0.000
O2 0.500 0.000 0.000

Results
* total magnetic moment: 1.467 Bohr magnetons per cell
* E_tot: -6.767 eV per atom
* energy of formation from the pure elements: -19.3 kJ/mol of atoms


Record 2
This record from Materials Project describes a relaxed structure of V4Fe2O13. The functional is PBE with a Hubbard U.

Cell lengths 9.581, 8.494, 14.883 Å; angles 77.23, 90.00, 90.00 degrees
Sites, in units of the cell vectors:
V1 0.276 0.745 0.672
V2 0.741 0.859 0.324
V3 0.724 0.255 0.328
V4 0.259 0.141 0.676
V5 0.241 0.141 0.176
V6 0.791 0.957 0.092
V7 0.291 0.043 0.408
V8 0.759 0.859 0.824
V9 0.287 0.533 0.905
V10 0.709 0.957 0.592
V11 0.713 0.467 0.095
V12 0.209 0.043 0.908
V13 0.776 0.255 0.828
V14 0.213 0.533 0.405
V15 0.224 0.745 0.172
V16 0.787 0.467 0.595
Fe1 0.499 0.693 0.484
Fe2 0.500 0.809 0.007
Fe3 0.500 0.191 0.993
Fe4 0.501 0.307 0.516
Fe5 0.000 0.191 0.493
Fe6 0.001 0.693 0.984
Fe7 0.000 0.809 0.507
Fe8 0.999 0.307 0.016
O1 0.831 0.058 0.814
O2 0.364 0.349 0.925
O3 0.135 0.860 0.913
O4 0.617 0.857 0.525
O5 0.610 0.318 0.400
O6 0.726 0.389 0.217
O7 0.669 0.058 0.314
O8 0.616 0.233 0.877
O9 0.117 0.657 0.456
O10 0.115 0.160 0.609
O11 0.885 0.840 0.391
O12 0.383 0.657 0.956
O13 0.213 0.159 0.790
O14 0.365 0.860 0.413
O15 0.226 0.611 0.283
O16 0.110 0.682 0.100
O17 0.713 0.841 0.710
O18 0.774 0.389 0.717
O19 0.615 0.492 0.547
O20 0.883 0.343 0.544
O21 0.331 0.942 0.686
O22 0.169 0.942 0.186
O23 0.287 0.159 0.290
O24 0.619 0.721 0.371
O25 0.883 0.857 0.025
O26 0.385 0.160 0.109
O27 0.383 0.143 0.475
O28 0.617 0.990 0.047
O29 0.864 0.651 0.575
O30 0.115 0.508 0.953
O31 0.884 0.233 0.377
O32 0.117 0.010 0.453
O33 0.883 0.990 0.547
O34 0.390 0.682 0.600
O35 0.881 0.721 0.871
O36 0.615 0.840 0.891
O37 0.383 0.010 0.953
O38 0.116 0.767 0.623
O39 0.885 0.492 0.047
O40 0.617 0.343 0.044
O41 0.136 0.349 0.425
O42 0.274 0.611 0.783
O43 0.117 0.143 0.975
O44 0.381 0.279 0.629
O45 0.385 0.508 0.453
O46 0.787 0.841 0.210
O47 0.635 0.140 0.587
O48 0.119 0.279 0.129
O49 0.865 0.140 0.087
O50 0.384 0.767 0.123
O51 0.890 0.318 0.900
O52 0.636 0.651 0.075

Results
* E_tot: -7.307 eV per atom
* energy of formation from the pure elements: -210.6 kJ/mol of atoms
* polymorph energy (0 for the lowest one): 0.00 eV per formula unit


Record 3
This record from Materials Project describes a relaxed structure of MgV2Cr2O8. The functional is PBE with a Hubbard U.

Cell lengths 5.221, 5.221, 6.222 Å; angles 90.00, 90.00, 114.29 degrees
Sites, in units of the cell vectors:
Mg1 0.660 0.340 0.750
V1 0.644 0.356 0.250
V2 0.335 0.665 0.750
Cr1 0.003 0.997 0.497
Cr2 0.003 0.997 0.003
O1 0.745 0.757 0.750
O2 0.259 0.211 0.250
O3 0.789 0.741 0.250
O4 0.243 0.255 0.750
O5 0.228 0.771 0.981
O6 0.773 0.227 0.480
O7 0.773 0.227 0.020
O8 0.228 0.771 0.519

Results
* total magnetic moment: 8.003 Bohr magnetons per cell
* E_tot: -7.413 eV per atom
* energy of formation from the pure elements: -227.2 kJ/mol of atoms
* polymorph energy (0 for the lowest one): 0.64 eV per formula unit


Record 4
This record from Materials Project describes a relaxed structure of MgCoSiO5. The functional is PBE with a Hubbard U.

Cell lengths 5.472, 6.798, 8.348 Å; angles 90.27, 38.79, 73.52 degrees
Sites, in units of the cell vectors:
Mg1 0.387 0.255 0.740
Mg2 0.612 0.717 0.252
Co1 0.499 0.485 0.996
Co2 0.499 0.985 0.996
Si1 0.551 0.231 0.318
Si2 0.447 0.740 0.674
O1 0.523 0.034 0.229
O2 0.691 0.392 0.140
O3 0.473 0.938 0.763
O4 0.308 0.580 0.852
O5 0.897 0.591 0.338
O6 0.127 0.830 0.676
O7 0.102 0.379 0.654
O8 0.872 0.140 0.315
O9 0.457 0.745 0.094
O10 0.543 0.225 0.897

Results
* total magnetic moment: 6.001 Bohr magnetons per cell
* E_tot: -6.535 eV per atom
* energy of formation from the pure elements: -222.9 kJ/mol of atoms
* polymorph energy (0 for the lowest one): 0.00 eV per formula unit


Record 5
This record from Materials Project describes a relaxed structure of Ba2Fe2O5. The functional is PBE with a Hubbard U.

Cell lengths 5.699, 5.699, 9.191 Å; angles 71.94, 71.94, 90.00 degrees
Sites, in units of the cell vectors:
Ba1 0.000 0.000 0.000
Ba2 0.500 0.500 0.000
Ba3 0.750 0.750 0.500
Ba4 0.250 0.250 0.500
Fe1 0.866 0.366 0.268
Fe2 0.134 0.634 0.732
Fe3 0.366 0.866 0.268
Fe4 0.634 0.134 0.732
O1 0.250 0.750 0.500
O2 0.750 0.250 0.500
O3 0.136 0.636 0.228
O4 0.636 0.136 0.228
O5 0.864 0.364 0.772
O6 0.364 0.864 0.772
O7 0.136 0.136 0.228
O8 0.636 0.636 0.228
O9 0.864 0.864 0.772
O10 0.364 0.364 0.772

Results
* E_tot: -6.462 eV per atom
* energy of formation from the pure elements: -220.7 kJ/mol of atoms


Record 6
This record from Materials Project describes a relaxed structure of LiV2P3O12. The functional is PBE with a Hubbard U.

Cell lengths 8.875, 8.349, 8.339 Å; angles 119.90, 89.74, 62.36 degrees
Sites, in units of the cell vectors:
Li1 0.138 0.940 0.260
Li2 0.862 0.060 0.740
V1 0.057 0.303 0.655
V2 0.571 0.282 0.147
V3 0.429 0.718 0.853
V4 0.943 0.697 0.345
P1 0.248 0.219 0.253
P2 0.255 0.499 0.967
P3 0.249 0.785 0.535
P4 0.751 0.215 0.465
P5 0.745 0.501 0.033
P6 0.752 0.781 0.747
O1 0.106 0.389 0.221
O2 0.197 0.290 0.465
O3 0.199 0.345 0.822
O4 0.102 0.687 0.167
O5 0.083 0.763 0.530
O6 0.429 0.192 0.201
O7 0.279 0.623 0.893
O8 0.428 0.362 0.992
O9 0.206 0.974 0.511
O10 0.271 0.845 0.737
O11 0.420 0.577 0.376
O12 0.263 0.999 0.116
O13 0.737 0.001 0.884
O14 0.580 0.423 0.624
O15 0.729 0.155 0.263
O16 0.794 0.026 0.489
O17 0.572 0.638 0.008
O18 0.721 0.377 0.107
O19 0.571 0.808 0.799
O20 0.917 0.237 0.470
O21 0.898 0.313 0.833
O22 0.801 0.655 0.178
O23 0.803 0.710 0.535
O24 0.894 0.611 0.779

Results
* total magnetic moment: 4.000 Bohr magnetons per cell
* E_tot: -7.310 eV per atom
* energy of formation from the pure elements: -254.8 kJ/mol of atoms
* polymorph energy (0 for the lowest one): 0.26 eV per formula unit


Record 7
This record from Materials Project describes a relaxed structure of SrNd7Fe8As8O8. The functional is PBE with a Hubbard U.

Cell lengths 11.017, 11.017, 11.017 Å; angles 136.34, 136.34, 63.46 degrees
Sites, in units of the cell vectors:
Sr1 0.309 0.309 0.000
Nd1 0.187 0.187 0.502
Nd2 0.685 0.187 0.000
Nd3 0.314 0.814 0.500
Nd4 0.813 0.813 0.000
Nd5 0.187 0.685 0.000
Nd6 0.685 0.685 0.498
Nd7 0.814 0.314 0.500
Fe1 0.624 0.375 0.750
Fe2 0.125 0.375 0.250
Fe3 0.874 0.624 0.250
Fe4 0.375 0.624 0.750
Fe5 0.624 0.874 0.250
Fe6 0.125 0.875 0.750
Fe7 0.875 0.125 0.750
Fe8 0.375 0.125 0.250
As1 0.962 0.463 0.000
As2 0.463 0.463 0.501
As3 0.536 0.536 0.000
As4 0.038 0.538 0.500
As5 0.962 0.962 0.499
As6 0.463 0.962 0.000
As7 0.538 0.038 0.500
As8 0.037 0.037 0.000
O1 0.122 0.874 0.248
O2 0.627 0.874 0.752
O3 0.378 0.119 0.741
O4 0.874 0.122 0.248
O5 0.119 0.378 0.741
O6 0.637 0.378 0.259
O7 0.378 0.637 0.259
O8 0.874 0.627 0.752

Results
* total magnetic moment: 30.850 Bohr magnetons per cell
* E_tot: -6.486 eV per atom
* energy of formation from the pure elements: -155.0 kJ/mol of atoms


Record 8
This record from Materials Project describes a relaxed structure of Li2CrFeO4. The functional is PBE with a Hubbard U.

Cell lengths 5.165, 5.165, 5.152 Å; angles 80.45, 80.45, 33.47 degrees
Sites, in units of the cell vectors:
Li1 0.749 0.749 0.251
Li2 0.251 0.251 0.749
Cr1 0.000 0.000 0.500
Fe1 0.500 0.500 0.000
O1 0.114 0.114 0.130
O2 0.886 0.886 0.870
O3 0.613 0.613 0.628
O4 0.387 0.387 0.372

Results
* total magnetic moment: 8.000 Bohr magnetons per cell
* E_tot: -6.512 eV per atom
* energy of formation from the pure elements: -209.4 kJ/mol of atoms
* polymorph energy (0 for the lowest one): 0.05 eV per formula unit


Record 9
This record from Materials Project describes a relaxed structure of CaLaFeBiO6. The functional is PBE with a Hubbard U.

Cell lengths 5.845, 5.845, 5.845 Å; angles 60.00, 60.00, 60.00 degrees
Sites, in units of the cell vectors:
Ca1 0.250 0.250 0.250
La1 0.750 0.750 0.750
Fe1 0.500 0.500 0.500
Bi1 0.000 0.000 0.000
O1 0.738 0.262 0.262
O2 0.262 0.738 0.738
O3 0.738 0.262 0.738
O4 0.262 0.738 0.262
O5 0.738 0.738 0.262
O6 0.262 0.262 0.738

Results
* total magnetic moment: 4.130 Bohr magnetons per cell
* E_tot: -6.544 eV per atom
* energy of formation from the pure elements: -220.3 kJ/mol of atoms
* polymorph energy (0 for the lowest one): 2.18 eV per formula unit


Record 10
This record from Materials Project describes a relaxed structure of LiFeF4. The functional is PBE with a Hubbard U.

Cell lengths 8.614, 8.675, 8.819 Å; angles 90.00, 90.00, 90.00 degrees
Sites, in units of the cell vectors:
Li1 0.283 0.193 0.970
Li2 0.283 0.193 0.530
Li3 0.217 0.693 0.030
Li4 0.217 0.693 0.470
Li5 0.783 0.307 0.970
Li6 0.783 0.307 0.530
Li7 0.717 0.807 0.470
Li8 0.717 0.807 0.030
Fe1 0.937 0.615 0.750
Fe2 0.113 0.994 0.750
Fe3 0.387 0.494 0.250
Fe4 0.563 0.115 0.250
Fe5 0.437 0.885 0.750
Fe6 0.613 0.506 0.750
Fe7 0.887 0.006 0.250
Fe8 0.063 0.385 0.250
F1 0.926 0.869 0.090
F2 0.926 0.869 0.410
F3 0.078 0.591 0.905
F4 0.078 0.591 0.595
F5 0.055 0.153 0.250
F6 0.161 0.603 0.250
F7 0.249 0.866 0.607
F8 0.249 0.866 0.893
F9 0.251 0.366 0.107
F10 0.251 0.366 0.393
F11 0.339 0.103 0.750
F12 0.445 0.653 0.750
F13 0.422 0.091 0.095
F14 0.422 0.091 0.405
F15 0.574 0.369 0.910
F16 0.574 0.369 0.590
F17 0.426 0.631 0.090
F18 0.426 0.631 0.410
F19 0.578 0.909 0.595
F20 0.578 0.909 0.905
F21 0.555 0.347 0.250
F22 0.661 0.897 0.250
F23 0.749 0.634 0.607
F24 0.749 0.634 0.893
F25 0.751 0.134 0.107
F26 0.751 0.134 0.393
F27 0.839 0.397 0.750
F28 0.945 0.847 0.750
F29 0.922 0.409 0.095
F30 0.922 0.409 0.405
F31 0.074 0.131 0.590
F32 0.074 0.131 0.910

Results
* total magnetic moment: 40.001 Bohr magnetons per cell
* E_tot: -5.067 eV per atom
* energy of formation from the pure elements: -264.8 kJ/mol of atoms
* polymorph energy (0 for the lowest one): 0.48 eV per formula unit


Record 11
This record from Materials Project describes a relaxed structure of Li2Cr3FeO8. The functional is PBE with a Hubbard U.

Cell lengths 5.919, 5.919, 5.919 Å; angles 60.22, 60.22, 60.22 degrees
Sites, in units of the cell vectors:
Li1 0.875 0.875 0.875
Li2 0.125 0.125 0.125
Cr1 0.000 0.500 0.500
Cr2 0.500 0.000 0.500
Cr3 0.500 0.500 0.000
Fe1 0.500 0.500 0.500
O1 0.733 0.733 0.733
O2 0.739 0.739 0.287
O3 0.739 0.287 0.739
O4 0.287 0.739 0.739
O5 0.713 0.261 0.261
O6 0.261 0.713 0.261
O7 0.261 0.261 0.713
O8 0.267 0.267 0.267

Results
* total magnetic moment: 12.000 Bohr magnetons per cell
* E_tot: -6.896 eV per atom
* energy of formation from the pure elements: -203.1 kJ/mol of atoms
* polymorph energy (0 for the lowest one): 0.18 eV per formula unit


Record 12
This record from Materials Project describes a relaxed structure of Ca2SbWO6. The functional is PBE with a Hubbard U.

Cell lengths 8.111, 5.709, 5.902 Å; angles 88.55, 90.00, 90.00 degrees
Sites, in units of the cell vectors:
Ca1 0.750 0.486 0.559
Ca2 0.250 0.514 0.441
Ca3 0.750 0.999 0.051
Ca4 0.250 0.001 0.949
Sb1 0.500 0.000 0.500
Sb2 0.000 0.000 0.500
W1 0.500 0.500 0.000
W2 0.000 0.500 0.000
O1 0.444 0.656 0.711
O2 0.058 0.794 0.174
O3 0.944 0.344 0.289
O4 0.558 0.206 0.826
O5 0.442 0.794 0.174
O6 0.942 0.206 0.826
O7 0.250 0.125 0.557
O8 0.056 0.656 0.711
O9 0.750 0.604 0.955
O10 0.556 0.344 0.289
O11 0.750 0.875 0.443
O12 0.250 0.396 0.045

Results
* total magnetic moment: 1.999 Bohr magnetons per cell
* E_tot: -6.724 eV per atom
* energy of formation from the pure elements: -241.3 kJ/mol of atoms
* polymorph energy (0 for the lowest one): 0.28 eV per formula unit


no.,volume (A^3/atom)
1,15.93
2,15.54
3,11.89
4,10.80
5,14.91
6,12.54
7,19.66
8,9.33
9,14.12
10,13.73
11,10.53
12,13.66